The following is a DFT calculation (PBE-GGA) of crystalline Na4XeO14 at its relaxed geometry.

```
Na4XeO14
1.0
9.844 0.000 0.000
0.000 11.248 0.000
0.000 0.000 11.556
O Na Xe
56 16 4
direct
0.167 0.059 0.548
0.010 0.728 0.401
0.839 0.433 0.181
0.613 0.750 0.500
0.339 0.433 0.319
0.885 0.424 0.801
0.990 0.272 0.599
0.490 0.272 0.901
0.661 0.933 0.319
0.615 0.924 0.699
0.352 0.975 0.342
0.510 0.772 0.901
0.667 0.059 0.952
0.148 0.475 0.158
0.615 0.576 0.301
0.224 0.001 0.101
0.115 0.924 0.801
0.776 0.999 0.899
0.417 0.250 0.000
0.387 0.250 0.500
0.352 0.525 0.658
0.276 0.999 0.601
0.724 0.499 0.601
0.276 0.501 0.399
0.667 0.441 0.048
0.083 0.750 0.500
0.852 0.975 0.158
0.833 0.941 0.452
0.113 0.750 0.000
0.161 0.933 0.181
0.661 0.567 0.681
0.648 0.475 0.342
0.852 0.525 0.842
0.776 0.501 0.101
0.148 0.025 0.842
0.887 0.250 0.000
0.724 0.001 0.399
0.510 0.728 0.099
0.385 0.424 0.699
0.339 0.067 0.681
0.885 0.076 0.199
0.167 0.441 0.452
0.917 0.250 0.500
0.839 0.067 0.819
0.385 0.076 0.301
0.583 0.750 0.000
0.161 0.567 0.819
0.833 0.559 0.548
0.224 0.499 0.899
0.333 0.559 0.952
0.010 0.772 0.599
0.490 0.228 0.099
0.648 0.025 0.658
0.115 0.576 0.199
0.990 0.228 0.401
0.333 0.941 0.048
0.731 0.248 0.137
0.769 0.748 0.363
0.947 0.468 0.366
0.553 0.968 0.134
0.053 0.968 0.366
0.053 0.532 0.634
0.231 0.252 0.637
0.731 0.252 0.863
0.269 0.752 0.863
0.269 0.748 0.137
0.553 0.532 0.866
0.231 0.248 0.363
0.947 0.032 0.634
0.447 0.032 0.866
0.447 0.468 0.134
0.769 0.752 0.637
0.094 0.250 0.000
0.594 0.250 0.500
0.906 0.750 0.000
0.406 0.750 0.500
```

Properties
The total energy is -319.1 eV/cell. For the offset from the most stable computed form, the calculation gives 0.052 eV per atom. The value obtained for the energy of formation from the pure elements is -0.273 eV/atom. As for the crystal system: orthorhombic.